38
Lattice="9.676 0.000 0.000 0.000 7.355 0.000 0.000 2.727 8.057" Properties=species:S:1:pos:R:3 comment="LiFe2C4O12 | Materials Project | PBE with a Hubbard U | optimized geometry" space_group="No. 4" energy_mp2020_ev_per_atom=-7.770 mass_density_g_cm3=2.08 magmom_total_mub_per_fu=9.000 energy_ev_per_atom=-7.099 e_above_lowest_polymorph_kj_per_mol_atoms=0.0 pbc="T T T"
Li 8.842 2.171 0.854
Li 4.004 7.911 7.202
Fe 3.345 2.634 1.484
Fe 8.183 7.448 6.572
Fe 1.449 7.856 5.402
Fe 6.287 2.226 2.655
C 1.113 6.523 8.055
C 5.951 3.559 0.001
C 4.697 4.760 3.088
C 9.534 5.322 4.969
C 9.645 2.526 7.176
C 4.807 7.556 0.880
C 3.888 1.422 4.195
C 8.726 8.660 3.862
O 1.533 3.075 0.993
O 4.664 3.474 0.137
O 6.786 2.986 0.795
O 1.948 7.096 7.262
O 9.502 6.608 7.920
O 9.450 4.187 4.422
O 6.371 7.007 7.064
O 5.814 4.102 3.110
O 3.626 4.297 2.515
O 8.464 5.785 5.542
O 0.977 5.980 4.946
O 4.917 6.451 0.308
O 4.612 5.895 3.635
O 8.568 9.150 7.366
O 0.914 9.434 6.384
O 5.752 0.648 1.673
O 3.730 0.932 0.691
O 3.370 8.217 5.263
O 0.079 3.631 7.748
O 0.301 8.404 3.867
O 7.925 8.393 4.834
O 3.087 1.689 3.222
O 5.139 1.678 4.190
O 8.208 1.865 2.794



19
Lattice="-1.975 -2.150 -4.635 -6.583 1.934 4.135 0.981 6.740 -0.318" Properties=species:S:1:pos:R:3 comment="LiFe2C4O12 | Materials Project | PBE with a Hubbard U | optimized geometry" space_group="No. 1" energy_mp2020_ev_per_atom=-7.765 mass_density_g_cm3=2.24 magmom_total_mub_per_fu=0.849 energy_ev_per_atom=-7.093 e_above_lowest_polymorph_kj_per_mol_atoms=0.5 pbc="T T T"
Li -2.163 2.289 -2.991
Fe -5.785 8.329 3.404
Fe -3.533 3.680 0.228
C -5.855 4.303 0.020
C -4.804 1.911 2.302
C -1.578 5.780 -0.430
C -1.429 2.395 -0.185
O -7.110 4.653 -0.088
O -5.181 4.557 1.093
O -6.713 -0.035 -1.063
O -5.965 1.448 1.908
O -3.856 2.121 1.489
O -5.223 3.677 -0.923
O -2.798 5.432 -0.379
O -1.501 3.256 0.781
O -0.918 5.809 -1.561
O -0.867 6.124 0.601
O -2.432 2.417 -1.031
O -0.444 1.593 -0.307



15
Lattice="-3.608 -3.350 -0.770 4.030 -3.985 -1.544 1.733 -3.014 4.991" Properties=species:S:1:pos:R:3 comment="LiFe2C3O9 | Materials Project | PBE with a Hubbard U | optimized geometry" space_group="No. 6" energy_mp2020_ev_per_atom=-7.803 e_ij_max_c_m2=0.98 mass_density_g_cm3=2.94 magmom_total_mub_per_fu=9.000 energy_ev_per_atom=-7.090 e_above_lowest_polymorph_kj_per_mol_atoms=7.0 pbc="T T T"
Li -0.566 -3.146 0.213
Fe 1.890 -3.053 4.426
Fe 0.887 -5.120 1.994
C 3.673 -4.755 3.480
C 1.382 -1.951 2.011
C 1.667 -5.424 -0.343
O 4.531 -5.651 3.358
O 0.891 -1.213 1.106
O 2.371 -4.992 3.435
O 0.821 -3.082 2.362
O 2.069 -6.099 0.713
O 2.125 -5.650 -1.504
O 0.769 -4.527 -0.034
O 0.368 -6.851 3.007
O -1.176 -4.936 1.936



48
Lattice="-1.963 4.819 -2.966 -3.038 -5.489 -6.907 -9.817 -3.456 0.882" Properties=species:S:1:pos:R:3 comment="LiFe2C2O7 | Materials Project | PBE with a Hubbard U | optimized geometry" space_group="No. 14" energy_mp2020_ev_per_atom=-7.748 mass_density_g_cm3=3.22 magmom_total_mub_per_fu=9.000 energy_ev_per_atom=-6.971 e_above_lowest_polymorph_kj_per_mol_atoms=3.0 pbc="T T T"
Li -6.668 -0.328 -2.888
Li -5.884 -2.889 -1.519
Li -8.935 -1.237 -7.472
Li -8.150 -3.798 -6.103
Fe -3.571 -0.921 -3.788
Fe -12.927 -5.736 -5.833
Fe -4.561 -4.965 -6.442
Fe -10.744 -4.622 -1.376
Fe -4.074 0.497 -7.615
Fe -10.258 0.839 -2.549
Fe -1.891 1.610 -3.158
Fe -11.247 -3.205 -5.203
C -4.912 1.405 -4.668
C -5.515 -3.038 -4.433
C -6.064 -2.240 -7.568
C -10.862 -3.733 -8.073
C -3.956 -0.393 -0.919
C -8.754 -1.886 -1.423
C -9.303 -1.088 -4.558
C -9.906 -5.531 -4.323
O -3.274 -0.394 -6.015
O -2.584 -2.532 -2.603
O -4.571 -0.816 -1.991
O -4.313 -2.516 -4.732
O -6.043 0.841 -4.636
O -2.253 3.570 -3.312
O -5.020 -3.026 -7.442
O -5.787 -0.952 -7.684
O -7.255 1.589 -2.269
O -6.233 -2.508 -3.554
O -5.873 -4.092 -5.117
O -10.841 -5.205 -5.201
O -2.640 -0.150 -1.046
O -7.558 -1.481 -1.358
O -7.260 -2.645 -7.633
O -12.178 -3.976 -7.946
O -3.977 1.079 -3.790
O -8.945 -0.034 -3.874
O -8.585 -1.618 -5.438
O -7.563 -5.715 -6.722
O -9.031 -3.174 -1.308
O -9.799 -1.100 -1.549
O -12.566 -7.696 -5.680
O -8.775 -4.967 -4.355
O -10.506 -1.610 -4.259
O -10.248 -3.310 -7.000
O -12.234 -1.594 -6.388
O -11.544 -3.732 -2.977